one:
# PBE-GGA Sb, relaxed
data_Sb
_symmetry_space_group_name_H-M 'P 1'
_symmetry_Int_Tables_number 1
_symmetry_space_group_name_Hall 'P 1'
_cell_length_a 4.528
_cell_length_b 4.421
_cell_length_c 6.500
_cell_angle_alpha 90.00
_cell_angle_beta 101.72
_cell_angle_gamma 90.00
loop_
_atom_site_label
_atom_site_type_symbol
_atom_site_fract_x
_atom_site_fract_y
_atom_site_fract_z
_atom_site_occupancy
Sb1 Sb 0.063 0.250 0.237 1
Sb2 Sb 0.340 0.250 0.684 1
Sb3 Sb 0.660 0.750 0.316 1
Sb4 Sb 0.937 0.750 0.763 1
# Size of the total moment in μB/atom: 0.0002
# SG: P2_1/m, No. 11

two:
# PBE-GGA Sb, relaxed
data_Sb
_symmetry_space_group_name_H-M 'P 1'
_symmetry_Int_Tables_number 1
_symmetry_space_group_name_Hall 'P 1'
_cell_length_a 3.388
_cell_length_b 3.388
_cell_length_c 3.388
_cell_angle_alpha 60.00
_cell_angle_beta 60.00
_cell_angle_gamma 60.00
loop_
_atom_site_label
_atom_site_type_symbol
_atom_site_fract_x
_atom_site_fract_y
_atom_site_fract_z
_atom_site_occupancy
Sb1 Sb 0.000 0.000 0.000 1
# Size of the total moment in μB/atom: 0.0000
# SG: Fm-3m, No. 225

Last place for stability: two

one:
# PBE-GGA TiCrAgS4, relaxed
data_TiCrAgS4
_symmetry_space_group_name_H-M 'P 1'
_symmetry_Int_Tables_number 1
_symmetry_space_group_name_Hall 'P 1'
_cell_length_a 11.988
_cell_length_b 3.482
_cell_length_c 12.105
_cell_angle_alpha 90.00
_cell_angle_beta 90.00
_cell_angle_gamma 90.00
loop_
_atom_site_label
_atom_site_type_symbol
_atom_site_fract_x
_atom_site_fract_y
_atom_site_fract_z
_atom_site_occupancy
Ti1 Ti 0.157 0.250 0.212 1
Ti2 Ti 0.343 0.750 0.712 1
Ti3 Ti 0.657 0.250 0.288 1
Ti4 Ti 0.843 0.750 0.788 1
Cr1 Cr 0.104 0.250 0.576 1
Cr2 Cr 0.396 0.750 0.076 1
Cr3 Cr 0.604 0.250 0.924 1
Cr4 Cr 0.896 0.750 0.424 1
Ag1 Ag 0.129 0.750 0.910 1
Ag2 Ag 0.371 0.250 0.410 1
Ag3 Ag 0.629 0.750 0.590 1
Ag4 Ag 0.871 0.250 0.090 1
S1 S 0.036 0.250 0.383 1
S2 S 0.057 0.750 0.119 1
S3 S 0.201 0.250 0.753 1
S4 S 0.229 0.750 0.537 1
S5 S 0.271 0.250 0.037 1
S6 S 0.299 0.750 0.253 1
S7 S 0.443 0.250 0.619 1
S8 S 0.464 0.750 0.883 1
S9 S 0.536 0.250 0.117 1
S10 S 0.557 0.750 0.381 1
S11 S 0.701 0.250 0.747 1
S12 S 0.729 0.750 0.963 1
S13 S 0.771 0.250 0.463 1
S14 S 0.799 0.750 0.247 1
S15 S 0.943 0.250 0.881 1
S16 S 0.964 0.750 0.617 1
# Size of the total moment in μB/atom: 0.4286
# SG: Pnma, No. 62

two:
# PBE-GGA TiCrAgS4, relaxed
data_TiCrAgS4
_symmetry_space_group_name_H-M 'P 1'
_symmetry_Int_Tables_number 1
_symmetry_space_group_name_Hall 'P 1'
_cell_length_a 7.265
_cell_length_b 7.265
_cell_length_c 7.265
_cell_angle_alpha 119.11
_cell_angle_beta 90.63
_cell_angle_gamma 120.17
loop_
_atom_site_label
_atom_site_type_symbol
_atom_site_fract_x
_atom_site_fract_y
_atom_site_fract_z
_atom_site_occupancy
Ti1 Ti 0.243 0.250 0.493 1
Ti2 Ti 0.757 0.750 0.507 1
Cr1 Cr 0.780 0.280 0.500 1
Cr2 Cr 0.780 0.780 0.000 1
Ag1 Ag 0.166 0.538 0.128 1
Ag2 Ag 0.411 0.038 0.872 1
S1 S 0.006 0.246 0.715 1
S2 S 0.006 0.791 0.260 1
S3 S 0.009 0.250 0.259 1
S4 S 0.531 0.291 0.285 1
S5 S 0.531 0.746 0.740 1
S6 S 0.548 0.314 0.734 1
S7 S 0.580 0.814 0.266 1
S8 S 0.991 0.750 0.741 1
# Size of the total moment in μB/atom: 0.0035
# SG: Ima2, No. 46

Last place for stability: two

one:
# PBE-GGA LaMg6BO8, relaxed
data_LaMg6BO8
_symmetry_space_group_name_H-M 'P 1'
_symmetry_Int_Tables_number 1
_symmetry_space_group_name_Hall 'P 1'
_cell_length_a 4.463
_cell_length_b 4.463
_cell_length_c 9.105
_cell_angle_alpha 90.00
_cell_angle_beta 90.00
_cell_angle_gamma 90.00
loop_
_atom_site_label
_atom_site_type_symbol
_atom_site_fract_x
_atom_site_fract_y
_atom_site_fract_z
_atom_site_occupancy
La1 La 0.000 0.000 0.000 1
Mg1 Mg 0.000 0.000 0.500 1
Mg2 Mg 0.000 0.500 0.271 1
Mg3 Mg 0.000 0.500 0.729 1
Mg4 Mg 0.500 0.000 0.271 1
Mg5 Mg 0.500 0.000 0.729 1
Mg6 Mg 0.500 0.500 0.500 1
B1 B 0.500 0.500 0.000 1
O1 O 0.000 0.000 0.272 1
O2 O 0.000 0.000 0.728 1
O3 O 0.000 0.500 0.000 1
O4 O 0.000 0.500 0.500 1
O5 O 0.500 0.000 0.000 1
O6 O 0.500 0.000 0.500 1
O7 O 0.500 0.500 0.275 1
O8 O 0.500 0.500 0.725 1
# Size of the total moment in μB/atom: 0.0014
# SG: P4/mmm, No. 123

two:
# PBE-GGA LaMg6BO8, relaxed
data_LaMg6BO8
_symmetry_space_group_name_H-M 'P 1'
_symmetry_Int_Tables_number 1
_symmetry_space_group_name_Hall 'P 1'
_cell_length_a 4.496
_cell_length_b 4.496
_cell_length_c 9.116
_cell_angle_alpha 90.00
_cell_angle_beta 90.00
_cell_angle_gamma 90.00
loop_
_atom_site_label
_atom_site_type_symbol
_atom_site_fract_x
_atom_site_fract_y
_atom_site_fract_z
_atom_site_occupancy
La1 La 0.000 0.000 0.000 1
Mg1 Mg 0.000 0.500 0.280 1
Mg2 Mg 0.000 0.500 0.720 1
Mg3 Mg 0.500 0.000 0.280 1
Mg4 Mg 0.500 0.000 0.720 1
Mg5 Mg 0.500 0.500 0.000 1
Mg6 Mg 0.500 0.500 0.500 1
B1 B 0.000 0.000 0.500 1
O1 O 0.000 0.000 0.258 1
O2 O 0.000 0.000 0.742 1
O3 O 0.000 0.500 0.000 1
O4 O 0.000 0.500 0.500 1
O5 O 0.500 0.000 0.000 1
O6 O 0.500 0.000 0.500 1
O7 O 0.500 0.500 0.253 1
O8 O 0.500 0.500 0.747 1
# Size of the total moment in μB/atom: 0.0000
# SG: P4/mmm, No. 123

Last place for stability: two

one:
# PBE-GGA IrN, relaxed
data_IrN
_symmetry_space_group_name_H-M 'P 1'
_symmetry_Int_Tables_number 1
_symmetry_space_group_name_Hall 'P 1'
_cell_length_a 2.810
_cell_length_b 2.810
_cell_length_c 3.173
_cell_angle_alpha 90.00
_cell_angle_beta 90.00
_cell_angle_gamma 120.00
loop_
_atom_site_label
_atom_site_type_symbol
_atom_site_fract_x
_atom_site_fract_y
_atom_site_fract_z
_atom_site_occupancy
Ir1 Ir 0.000 0.000 0.000 1
N1 N 0.667 0.333 0.500 1
# Size of the total moment in μB/atom: 0.0000
# SG: P-6m2, No. 187

two:
# PBE-GGA IrN, relaxed
data_IrN
_symmetry_space_group_name_H-M 'P 1'
_symmetry_Int_Tables_number 1
_symmetry_space_group_name_Hall 'P 1'
_cell_length_a 2.744
_cell_length_b 2.744
_cell_length_c 6.048
_cell_angle_alpha 90.00
_cell_angle_beta 90.00
_cell_angle_gamma 90.00
loop_
_atom_site_label
_atom_site_type_symbol
_atom_site_fract_x
_atom_site_fract_y
_atom_site_fract_z
_atom_site_occupancy
Ir1 Ir 0.000 0.500 0.000 1
Ir2 Ir 0.500 0.000 0.500 1
N1 N 0.000 0.000 0.250 1
N2 N 0.000 0.000 0.750 1
# Size of the total moment in μB/atom: 0.0001
# SG: P4_2/mmc, No. 131

Last place for stability: one

one:
# PBE-GGA Sn3O4, relaxed
data_Sn3O4
_symmetry_space_group_name_H-M 'P 1'
_symmetry_Int_Tables_number 1
_symmetry_space_group_name_Hall 'P 1'
_cell_length_a 7.191
_cell_length_b 5.854
_cell_length_c 6.104
_cell_angle_alpha 90.00
_cell_angle_beta 90.12
_cell_angle_gamma 90.00
loop_
_atom_site_label
_atom_site_type_symbol
_atom_site_fract_x
_atom_site_fract_y
_atom_site_fract_z
_atom_site_occupancy
Sn1 Sn 0.000 0.000 0.000 1
Sn2 Sn 0.000 0.000 0.500 1
Sn3 Sn 0.299 0.499 0.241 1
Sn4 Sn 0.299 0.501 0.741 1
Sn5 Sn 0.701 0.499 0.259 1
Sn6 Sn 0.701 0.501 0.759 1
O1 O 0.211 0.281 0.991 1
O2 O 0.211 0.719 0.491 1
O3 O 0.229 0.267 0.492 1
O4 O 0.229 0.733 0.992 1
O5 O 0.771 0.267 0.008 1
O6 O 0.771 0.733 0.508 1
O7 O 0.789 0.281 0.509 1
O8 O 0.789 0.719 0.009 1
# Size of the total moment in μB/atom: 0.0001
# SG: P2/c, No. 13

two:
# PBE-GGA Sn3O4, relaxed
data_Sn3O4
_symmetry_space_group_name_H-M 'P 1'
_symmetry_Int_Tables_number 1
_symmetry_space_group_name_Hall 'P 1'
_cell_length_a 8.644
_cell_length_b 8.644
_cell_length_c 7.408
_cell_angle_alpha 90.00
_cell_angle_beta 90.00
_cell_angle_gamma 90.00
loop_
_atom_site_label
_atom_site_type_symbol
_atom_site_fract_x
_atom_site_fract_y
_atom_site_fract_z
_atom_site_occupancy
Sn1 Sn 0.000 0.000 0.192 1
Sn2 Sn 0.000 0.000 0.808 1
Sn3 Sn 0.156 0.236 0.500 1
Sn4 Sn 0.236 0.844 0.500 1
Sn5 Sn 0.264 0.344 0.000 1
Sn6 Sn 0.344 0.736 0.000 1
Sn7 Sn 0.500 0.500 0.308 1
Sn8 Sn 0.500 0.500 0.692 1
Sn9 Sn 0.656 0.264 0.000 1
Sn10 Sn 0.736 0.656 0.000 1
Sn11 Sn 0.764 0.156 0.500 1
Sn12 Sn 0.844 0.764 0.500 1
O1 O 0.043 0.786 0.319 1
O2 O 0.043 0.786 0.681 1
O3 O 0.214 0.043 0.319 1
O4 O 0.214 0.043 0.681 1
O5 O 0.286 0.543 0.181 1
O6 O 0.286 0.543 0.819 1
O7 O 0.457 0.286 0.181 1
O8 O 0.457 0.286 0.819 1
O9 O 0.543 0.714 0.181 1
O10 O 0.543 0.714 0.819 1
O11 O 0.714 0.457 0.181 1
O12 O 0.714 0.457 0.819 1
O13 O 0.786 0.957 0.319 1
O14 O 0.786 0.957 0.681 1
O15 O 0.957 0.214 0.319 1
O16 O 0.957 0.214 0.681 1
# Size of the total moment in μB/atom: 0.1429
# SG: P4/mnc, No. 128

Last place for stability: two

one:
# PBE-GGA Si3H, relaxed
data_Si3H
_symmetry_space_group_name_H-M 'P 1'
_symmetry_Int_Tables_number 1
_symmetry_space_group_name_Hall 'P 1'
_cell_length_a 3.862
_cell_length_b 3.862
_cell_length_c 11.302
_cell_angle_alpha 90.00
_cell_angle_beta 90.00
_cell_angle_gamma 120.00
loop_
_atom_site_label
_atom_site_type_symbol
_atom_site_fract_x
_atom_site_fract_y
_atom_site_fract_z
_atom_site_occupancy
Si1 Si 0.333 0.667 0.035 1
Si2 Si 0.333 0.667 0.247 1
Si3 Si 0.333 0.667 0.685 1
Si4 Si 0.667 0.333 0.315 1
Si5 Si 0.667 0.333 0.753 1
Si6 Si 0.667 0.333 0.965 1
H1 H 0.333 0.667 0.553 1
H2 H 0.667 0.333 0.447 1
# SG: P-3m1, No. 164

two:
# PBE-GGA Si3H, relaxed
data_Si3H
_symmetry_space_group_name_H-M 'P 1'
_symmetry_Int_Tables_number 1
_symmetry_space_group_name_Hall 'P 1'
_cell_length_a 11.429
_cell_length_b 11.429
_cell_length_c 11.429
_cell_angle_alpha 19.53
_cell_angle_beta 19.53
_cell_angle_gamma 19.53
loop_
_atom_site_label
_atom_site_type_symbol
_atom_site_fract_x
_atom_site_fract_y
_atom_site_fract_z
_atom_site_occupancy
Si1 Si 0.084 0.084 0.084 1
Si2 Si 0.155 0.155 0.155 1
Si3 Si 0.272 0.272 0.272 1
Si4 Si 0.728 0.728 0.728 1
Si5 Si 0.845 0.845 0.845 1
Si6 Si 0.916 0.916 0.916 1
H1 H 0.317 0.317 0.317 1
H2 H 0.683 0.683 0.683 1
# SG: R-3m, No. 166

Last place for stability: two

one:
# PBE-GGA HfC, relaxed
data_HfC
_symmetry_space_group_name_H-M 'P 1'
_symmetry_Int_Tables_number 1
_symmetry_space_group_name_Hall 'P 1'
_cell_length_a 3.289
_cell_length_b 3.289
_cell_length_c 3.289
_cell_angle_alpha 60.00
_cell_angle_beta 60.00
_cell_angle_gamma 60.00
loop_
_atom_site_label
_atom_site_type_symbol
_atom_site_fract_x
_atom_site_fract_y
_atom_site_fract_z
_atom_site_occupancy
Hf1 Hf 0.000 0.000 0.000 1
C1 C 0.500 0.500 0.500 1
# SG: Fm-3m, No. 225

two:
# PBE-GGA HfC, relaxed
data_HfC
_symmetry_space_group_name_H-M 'P 1'
_symmetry_Int_Tables_number 1
_symmetry_space_group_name_Hall 'P 1'
_cell_length_a 3.231
_cell_length_b 3.231
_cell_length_c 2.917
_cell_angle_alpha 90.00
_cell_angle_beta 90.00
_cell_angle_gamma 120.00
loop_
_atom_site_label
_atom_site_type_symbol
_atom_site_fract_x
_atom_site_fract_y
_atom_site_fract_z
_atom_site_occupancy
Hf1 Hf 0.000 0.000 0.000 1
C1 C 0.333 0.667 0.500 1
# Size of the total moment in μB/atom: 0.0000
# SG: P-6m2, No. 187

Last place for stability: two

one:
# PBE-GGA TiAs2O7, relaxed
data_TiAs2O7
_symmetry_space_group_name_H-M 'P 1'
_symmetry_Int_Tables_number 1
_symmetry_space_group_name_Hall 'P 1'
_cell_length_a 5.360
_cell_length_b 5.360
_cell_length_c 9.583
_cell_angle_alpha 99.12
_cell_angle_beta 99.12
_cell_angle_gamma 98.23
loop_
_atom_site_label
_atom_site_type_symbol
_atom_site_fract_x
_atom_site_fract_y
_atom_site_fract_z
_atom_site_occupancy
Ti1 Ti 0.000 0.000 0.000 1
Ti2 Ti 0.000 0.000 0.500 1
As1 As 0.172 0.439 0.802 1
As2 As 0.439 0.172 0.302 1
As3 As 0.561 0.828 0.698 1
As4 As 0.828 0.561 0.198 1
O1 O 0.032 0.711 0.354 1
O2 O 0.076 0.714 0.871 1
O3 O 0.233 0.248 0.924 1
O4 O 0.248 0.233 0.424 1
O5 O 0.286 0.924 0.629 1
O6 O 0.289 0.968 0.146 1
O7 O 0.473 0.527 0.750 1
O8 O 0.527 0.473 0.250 1
O9 O 0.711 0.032 0.854 1
O10 O 0.714 0.076 0.371 1
O11 O 0.752 0.767 0.576 1
O12 O 0.767 0.752 0.076 1
O13 O 0.924 0.286 0.129 1
O14 O 0.968 0.289 0.646 1
# SG: C2/c, No. 15

two:
# PBE-GGA TiAs2O7, relaxed
data_TiAs2O7
_symmetry_space_group_name_H-M 'P 1'
_symmetry_Int_Tables_number 1
_symmetry_space_group_name_Hall 'P 1'
_cell_length_a 5.237
_cell_length_b 13.196
_cell_length_c 9.843
_cell_angle_alpha 90.00
_cell_angle_beta 120.91
_cell_angle_gamma 90.00
loop_
_atom_site_label
_atom_site_type_symbol
_atom_site_fract_x
_atom_site_fract_y
_atom_site_fract_z
_atom_site_occupancy
Ti1 Ti 0.135 0.152 0.345 1
Ti2 Ti 0.135 0.348 0.845 1
Ti3 Ti 0.865 0.652 0.155 1
Ti4 Ti 0.865 0.848 0.655 1
As1 As 0.273 0.691 0.560 1
As2 As 0.273 0.809 0.060 1
As3 As 0.382 0.017 0.690 1
As4 As 0.382 0.483 0.190 1
As5 As 0.618 0.517 0.810 1
As6 As 0.618 0.983 0.310 1
As7 As 0.727 0.191 0.940 1
As8 As 0.727 0.309 0.440 1
O1 O 0.021 0.180 0.128 1
O2 O 0.021 0.320 0.628 1
O3 O 0.142 0.534 0.239 1
O4 O 0.142 0.966 0.739 1
O5 O 0.179 0.740 0.174 1
O6 O 0.179 0.760 0.674 1
O7 O 0.226 0.115 0.562 1
O8 O 0.226 0.385 0.062 1
O9 O 0.317 0.564 0.629 1
O10 O 0.317 0.936 0.129 1
O11 O 0.402 0.228 0.924 1
O12 O 0.402 0.272 0.424 1
O13 O 0.469 0.072 0.375 1
O14 O 0.469 0.428 0.875 1
O15 O 0.531 0.572 0.125 1
O16 O 0.531 0.928 0.625 1
O17 O 0.598 0.728 0.576 1
O18 O 0.598 0.772 0.076 1
O19 O 0.683 0.064 0.871 1
O20 O 0.683 0.436 0.371 1
O21 O 0.774 0.615 0.938 1
O22 O 0.774 0.885 0.438 1
O23 O 0.821 0.240 0.326 1
O24 O 0.821 0.260 0.826 1
O25 O 0.858 0.034 0.261 1
O26 O 0.858 0.466 0.761 1
O27 O 0.979 0.680 0.372 1
O28 O 0.979 0.820 0.872 1
# SG: P2_1/c, No. 14

Last place for stability: one

one:
# PBE-GGA Ti2ZnO4, relaxed
data_Ti2ZnO4
_symmetry_space_group_name_H-M 'P 1'
_symmetry_Int_Tables_number 1
_symmetry_space_group_name_Hall 'P 1'
_cell_length_a 9.471
_cell_length_b 2.951
_cell_length_c 10.830
_cell_angle_alpha 90.00
_cell_angle_beta 90.00
_cell_angle_gamma 90.00
loop_
_atom_site_label
_atom_site_type_symbol
_atom_site_fract_x
_atom_site_fract_y
_atom_site_fract_z
_atom_site_occupancy
Ti1 Ti 0.063 0.250 0.120 1
Ti2 Ti 0.087 0.250 0.599 1
Ti3 Ti 0.413 0.750 0.099 1
Ti4 Ti 0.437 0.750 0.620 1
Ti5 Ti 0.563 0.250 0.380 1
Ti6 Ti 0.587 0.250 0.901 1
Ti7 Ti 0.913 0.750 0.401 1
Ti8 Ti 0.937 0.750 0.880 1
Zn1 Zn 0.245 0.750 0.862 1
Zn2 Zn 0.255 0.250 0.362 1
Zn3 Zn 0.745 0.750 0.638 1
Zn4 Zn 0.755 0.250 0.138 1
O1 O 0.036 0.750 0.719 1
O2 O 0.082 0.250 0.930 1
O3 O 0.116 0.750 0.468 1
O4 O 0.205 0.750 0.138 1
O5 O 0.295 0.250 0.638 1
O6 O 0.384 0.250 0.968 1
O7 O 0.418 0.750 0.430 1
O8 O 0.464 0.250 0.219 1
O9 O 0.536 0.750 0.781 1
O10 O 0.582 0.250 0.570 1
O11 O 0.616 0.750 0.032 1
O12 O 0.705 0.750 0.362 1
O13 O 0.795 0.250 0.862 1
O14 O 0.884 0.250 0.532 1
O15 O 0.918 0.750 0.070 1
O16 O 0.964 0.250 0.281 1
# Size of the total moment in μB/atom: 0.0928
# SG: Pnma, No. 62

two:
# PBE-GGA Ti2ZnO4, relaxed
data_Ti2ZnO4
_symmetry_space_group_name_H-M 'P 1'
_symmetry_Int_Tables_number 1
_symmetry_space_group_name_Hall 'P 1'
_cell_length_a 5.996
_cell_length_b 5.996
_cell_length_c 5.996
_cell_angle_alpha 120.26
_cell_angle_beta 118.31
_cell_angle_gamma 91.25
loop_
_atom_site_label
_atom_site_type_symbol
_atom_site_fract_x
_atom_site_fract_y
_atom_site_fract_z
_atom_site_occupancy
Ti1 Ti 0.000 0.000 0.000 1
Ti2 Ti 0.500 0.000 0.000 1
Ti3 Ti 0.500 0.000 0.500 1
Ti4 Ti 0.500 0.500 0.500 1
Zn1 Zn 0.000 0.000 0.500 1
Zn2 Zn 0.000 0.500 0.000 1
O1 O 0.247 0.243 0.004 1
O2 O 0.254 0.225 0.471 1
O3 O 0.254 0.783 0.029 1
O4 O 0.261 0.757 0.504 1
O5 O 0.739 0.243 0.496 1
O6 O 0.746 0.217 0.971 1
O7 O 0.746 0.775 0.529 1
O8 O 0.753 0.757 0.996 1
# Size of the total moment in μB/atom: 0.0019
# SG: Imma, No. 74

Last place for stability: two